# 1
A geometry-optimized MoW3Se2S6 structure, computed with PBE-GGA.

abc: 3.222 3.222 36.378
angles: 90.00 90.00 120.00
Atoms (fractional coordinates):
1 Mo 0.000 0.000 0.000
2 W 0.000 0.000 0.376
3 W 0.667 0.333 0.188
4 W 0.667 0.333 0.812
5 Se 0.667 0.333 0.328
6 Se 0.667 0.333 0.423
7 S 0.000 0.000 0.145
8 S 0.000 0.000 0.231
9 S 0.000 0.000 0.769
10 S 0.000 0.000 0.855
11 S 0.667 0.333 0.043
12 S 0.667 0.333 0.957

Output
The space group is P3m1 (156). As for the energy of formation from the pure elements: -1005 meV/atom.


# 2
A geometry-optimized TiAs2O7 structure, computed with PBE-GGA.

abc: 5.237 13.196 9.843
angles: 90.00 120.91 90.00
Atoms (fractional coordinates):
1 Ti 0.135 0.152 0.345
2 Ti 0.135 0.348 0.845
3 Ti 0.865 0.652 0.155
4 Ti 0.865 0.848 0.655
5 As 0.273 0.691 0.560
6 As 0.273 0.809 0.060
7 As 0.382 0.017 0.690
8 As 0.382 0.483 0.190
9 As 0.618 0.517 0.810
10 As 0.618 0.983 0.310
11 As 0.727 0.191 0.940
12 As 0.727 0.309 0.440
13 O 0.021 0.180 0.128
14 O 0.021 0.320 0.628
15 O 0.142 0.534 0.239
16 O 0.142 0.966 0.739
17 O 0.179 0.740 0.174
18 O 0.179 0.760 0.674
19 O 0.226 0.115 0.562
20 O 0.226 0.385 0.062
21 O 0.317 0.564 0.629
22 O 0.317 0.936 0.129
23 O 0.402 0.228 0.924
24 O 0.402 0.272 0.424
25 O 0.469 0.072 0.375
26 O 0.469 0.428 0.875
27 O 0.531 0.572 0.125
28 O 0.531 0.928 0.625
29 O 0.598 0.728 0.576
30 O 0.598 0.772 0.076
31 O 0.683 0.064 0.871
32 O 0.683 0.436 0.371
33 O 0.774 0.615 0.938
34 O 0.774 0.885 0.438
35 O 0.821 0.240 0.326
36 O 0.821 0.260 0.826
37 O 0.858 0.034 0.261
38 O 0.858 0.466 0.761
39 O 0.979 0.680 0.372
40 O 0.979 0.820 0.872

Output
The space group is P2_1/c (14). As for the energy of formation from the pure elements: -2192 meV/atom.


# 3
A geometry-optimized Be4AlCu structure, computed with PBE-GGA.

abc: 4.328 4.328 4.328
angles: 60.00 60.00 60.00
Atoms (fractional coordinates):
1 Be 0.125 0.125 0.125
2 Be 0.125 0.125 0.625
3 Be 0.125 0.625 0.125
4 Be 0.625 0.125 0.125
5 Al 0.500 0.500 0.500
6 Cu 0.750 0.750 0.750

Output
The space group is F-43m (216). As for the energy of formation from the pure elements: -69 meV/atom.


# 4
A geometry-optimized PuB4Mo structure, computed with PBE-GGA.

abc: 6.013 11.686 3.631
angles: 90.00 90.00 90.00
Atoms (fractional coordinates):
1 Pu 0.125 0.151 0.000
2 Pu 0.375 0.651 0.000
3 Pu 0.625 0.349 0.000
4 Pu 0.875 0.849 0.000
5 B 0.027 0.692 0.500
6 B 0.116 0.547 0.500
7 B 0.133 0.967 0.500
8 B 0.214 0.813 0.500
9 B 0.286 0.313 0.500
10 B 0.367 0.467 0.500
11 B 0.384 0.047 0.500
12 B 0.473 0.192 0.500
13 B 0.527 0.808 0.500
14 B 0.616 0.953 0.500
15 B 0.633 0.533 0.500
16 B 0.714 0.687 0.500
17 B 0.786 0.187 0.500
18 B 0.867 0.033 0.500
19 B 0.884 0.453 0.500
20 B 0.973 0.308 0.500
21 Mo 0.131 0.414 0.000
22 Mo 0.369 0.914 0.000
23 Mo 0.631 0.086 0.000
24 Mo 0.869 0.586 0.000

Output
The space group is Pbam (55). As for the energy of formation from the pure elements: -520 meV/atom.


# 5
A geometry-optimized Ba6Tb3NbSn2O18 structure, computed with PBE-GGA.

abc: 6.091 6.095 45.070
angles: 89.91 89.96 60.03
Atoms (fractional coordinates):
1 Ba 0.000 0.000 0.000
2 Ba 0.000 0.000 0.164
3 Ba 0.001 0.000 0.333
4 Ba 0.001 0.000 0.501
5 Ba 0.001 0.000 0.835
6 Ba 0.001 0.001 0.667
7 Ba 0.334 0.333 0.108
8 Ba 0.334 0.333 0.278
9 Ba 0.334 0.333 0.614
10 Ba 0.334 0.333 0.778
11 Ba 0.334 0.334 0.445
12 Ba 0.335 0.335 0.946
13 Ba 0.667 0.666 0.054
14 Ba 0.667 0.666 0.557
15 Ba 0.667 0.667 0.220
16 Ba 0.668 0.667 0.386
17 Ba 0.668 0.667 0.722
18 Ba 0.668 0.668 0.891
19 Tb 0.000 0.000 0.750
20 Tb 0.000 0.999 0.580
21 Tb 0.001 0.002 0.920
22 Tb 0.334 0.334 0.029
23 Tb 0.334 0.334 0.694
24 Tb 0.334 0.334 0.862
25 Tb 0.667 0.666 0.636
26 Tb 0.668 0.666 0.471
27 Tb 0.668 0.667 0.806
28 Nb 0.000 0.000 0.249
29 Nb 0.001 0.000 0.414
30 Nb 0.334 0.333 0.525
31 Sn 0.001 0.000 0.084
32 Sn 0.334 0.333 0.359
33 Sn 0.334 0.334 0.194
34 Sn 0.667 0.667 0.139
35 Sn 0.667 0.667 0.304
36 Sn 0.668 0.667 0.974
37 O 0.000 0.500 0.330
38 O 0.004 0.498 0.833
39 O 0.007 0.496 0.664
40 O 0.024 0.488 0.495
41 O 0.163 0.162 0.224
42 O 0.163 0.163 0.060
43 O 0.163 0.673 0.890
44 O 0.163 0.675 0.060
45 O 0.163 0.676 0.224
46 O 0.165 0.164 0.385
47 O 0.165 0.672 0.385
48 O 0.166 0.165 0.721
49 O 0.166 0.166 0.890
50 O 0.166 0.672 0.721
51 O 0.174 0.174 0.547
52 O 0.174 0.652 0.547
53 O 0.314 0.843 0.437
54 O 0.326 0.837 0.276
55 O 0.332 0.834 0.115
56 O 0.337 0.833 0.777
57 O 0.340 0.829 0.606
58 O 0.350 0.825 0.947
59 O 0.489 0.023 0.495
60 O 0.489 0.489 0.495
61 O 0.496 0.007 0.664
62 O 0.498 0.004 0.833
63 O 0.498 0.497 0.664
64 O 0.499 0.498 0.833
65 O 0.501 0.000 0.330
66 O 0.501 0.500 0.330
67 O 0.503 0.503 0.170
68 O 0.504 0.994 0.170
69 O 0.506 0.989 0.001
70 O 0.507 0.507 0.001
71 O 0.652 0.174 0.547
72 O 0.672 0.165 0.385
73 O 0.672 0.166 0.721
74 O 0.674 0.163 0.890
75 O 0.675 0.163 0.060
76 O 0.677 0.162 0.224
77 O 0.825 0.350 0.947
78 O 0.829 0.340 0.606
79 O 0.829 0.828 0.948
80 O 0.830 0.830 0.606
81 O 0.832 0.831 0.777
82 O 0.833 0.337 0.777
83 O 0.835 0.332 0.115
84 O 0.835 0.835 0.115
85 O 0.838 0.326 0.276
86 O 0.839 0.838 0.276
87 O 0.844 0.314 0.437
88 O 0.844 0.844 0.437
89 O 0.989 0.506 0.001
90 O 0.995 0.503 0.170

Output
The space group is P1 (1). As for the energy of formation from the pure elements: -3015 meV/atom.


Number 1: volume 27.25 Å³ per atom. Number 2: volume 14.59 Å³ per atom. Number 3: volume 9.56 Å³ per atom. Number 4: volume 10.63 Å³ per atom. Number 5: volume 16.11 Å³ per atom.